No. 1
{
  "formula": "HoFe2Si2",
  "functional": "meta-GGA r2SCAN",
  "state": "relaxed",
  "lattice_angstrom": [[-0.7958, -0.8860, -3.6817], [2.7737, 2.4249, -1.1831], [2.2778, -4.4218, 2.6052]],
  "species": ["Fe", "Fe", "Si", "Si", "Ho"],
  "fractional_positions": [[0.2500, 0.7500, 0.5000], [0.7500, 0.2500, 0.5000], [0.3722, 0.3722, 0.7443], [0.6278, 0.6278, 0.2557], [0.0000, 0.0000, 0.0000]],
  "formation_enthalpy_0k_kcal_per_mol_atoms": -12.04,
  "final_energy_ev_per_atom": -16.37
}

No. 2
{
  "formula": "TbHoFe4",
  "functional": "meta-GGA r2SCAN",
  "state": "relaxed",
  "lattice_angstrom": [[-3.6532, 0.0000, -3.6525], [3.6533, -3.6535, -0.0001], [-3.6534, -3.6535, 0.0002]],
  "species": ["Ho", "Tb", "Fe", "Fe", "Fe", "Fe"],
  "fractional_positions": [[0.5000, 0.7500, 0.7500], [0.0000, 0.0000, 0.0000], [0.7501, 0.3750, 0.8749], [0.2499, 0.3750, 0.3750], [0.2499, 0.8749, 0.3750], [0.7501, 0.3750, 0.3750]],
  "formation_enthalpy_0k_kcal_per_mol_atoms": 0.34,
  "final_energy_ev_per_atom": -20.28
}

No. 3
{
  "formula": "K2FeI4",
  "functional": "meta-GGA r2SCAN",
  "state": "relaxed",
  "lattice_angstrom": [[8.2489, 0.0000, 0.0000], [0.0000, 7.7889, 0.0107], [0.0000, 3.0062, 9.1658]],
  "species": ["K", "K", "K", "K", "I", "I", "I", "I", "I", "I", "I", "I", "Fe", "Fe"],
  "fractional_positions": [[0.2500, 0.2124, 0.4486], [0.7500, 0.7524, 0.0640], [0.7500, 0.7876, 0.5514], [0.2500, 0.2476, 0.9360], [0.9993, 0.0052, 0.7569], [0.2500, 0.5951, 0.5828], [0.7500, 0.4049, 0.4172], [0.0007, 0.9948, 0.2431], [0.5007, 0.0052, 0.7569], [0.4993, 0.9948, 0.2431], [0.7500, 0.4180, 0.8815], [0.2500, 0.5820, 0.1185], [0.2500, 0.7663, 0.3031], [0.7500, 0.2337, 0.6969]],
  "formation_enthalpy_0k_kcal_per_mol_atoms": -25.75,
  "final_energy_ev_per_atom": -18.93
}

No. 4
{
  "formula": "La2Fe2I",
  "functional": "meta-GGA r2SCAN",
  "state": "relaxed",
  "lattice_angstrom": [[4.2445, 0.0000, 0.0000], [-2.1223, 3.6759, 0.0000], [0.0000, 0.0000, 17.8743]],
  "species": ["La", "La", "La", "La", "I", "I", "Fe", "Fe", "Fe", "Fe"],
  "fractional_positions": [[0.0000, 0.0000, 0.6053], [0.0000, 0.0000, 0.1053], [0.0000, 0.0000, 0.3947], [0.0000, 0.0000, 0.8947], [0.3333, 0.6667, 0.7500], [0.6667, 0.3333, 0.2500], [0.3333, 0.6667, 0.0030], [0.3333, 0.6667, 0.4970], [0.6667, 0.3333, 0.5030], [0.6667, 0.3333, 0.9970]],
  "formation_enthalpy_0k_kcal_per_mol_atoms": -10.47,
  "final_energy_ev_per_atom": -23.03
}

No. 5
{
  "formula": "FeI3O9",
  "functional": "meta-GGA r2SCAN",
  "state": "relaxed",
  "lattice_angstrom": [[3.9042, 8.3084, 1.1171], [-4.3353, -2.0463, -7.9081], [-4.4533, 1.8277, 1.9686]],
  "species": ["O", "O", "O", "O", "O", "O", "O", "O", "O", "O", "O", "O", "O", "O", "O", "O", "O", "O", "I", "I", "I", "I", "I", "I", "Fe", "Fe"],
  "fractional_positions": [[0.4536, 0.5800, 0.8496], [0.1715, 0.9482, 0.7438], [0.1883, 0.7122, 0.4009], [0.8735, 0.4536, 0.3497], [0.8117, 0.2878, 0.9009], [0.2878, 0.4761, 0.4008], [0.5239, 0.8117, 0.4009], [0.7766, 0.8285, 0.7438], [0.4761, 0.1883, 0.9009], [0.4199, 0.8735, 0.8496], [0.5464, 0.4199, 0.3496], [0.9481, 0.7766, 0.2440], [0.7122, 0.5239, 0.9008], [0.0519, 0.2234, 0.7439], [0.5801, 0.1265, 0.3497], [0.2234, 0.1716, 0.2439], [0.8285, 0.0519, 0.2439], [0.1265, 0.5464, 0.8497], [0.0217, 0.3361, 0.9974], [0.3361, 0.3144, 0.4974], [0.6639, 0.6856, 0.9973], [0.9783, 0.6640, 0.4975], [0.3143, 0.9783, 0.9973], [0.6857, 0.0217, 0.4974], [0.3333, 0.6667, 0.6316], [0.6667, 0.3333, 0.1316]],
  "formation_enthalpy_0k_kcal_per_mol_atoms": -13.56,
  "final_energy_ev_per_atom": -11.50
}

No. 6
{
  "formula": "Pr12Fe2I17",
  "functional": "meta-GGA r2SCAN",
  "state": "relaxed",
  "lattice_angstrom": [[9.9783, -0.0023, 0.0044], [-4.9818, 10.9399, -0.0087], [-3.0447, -2.1928, 11.4838]],
  "species": ["I", "I", "I", "I", "I", "I", "I", "I", "I", "I", "I", "I", "I", "I", "I", "I", "I", "Pr", "Pr", "Pr", "Pr", "Pr", "Pr", "Pr", "Pr", "Pr", "Pr", "Pr", "Pr", "Fe", "Fe"],
  "fractional_positions": [[0.7818, 0.5286, 0.4173], [0.2182, 0.4714, 0.5827], [0.0571, 0.3656, 0.8956], [0.7518, 0.1791, 0.5377], [0.1567, 0.1069, 0.6764], [0.6722, 0.7884, 0.6298], [0.2482, 0.8209, 0.4623], [0.3278, 0.2116, 0.3702], [0.9429, 0.6344, 0.1044], [0.4514, 0.2954, 0.0474], [0.3643, 0.5835, 0.2433], [0.5908, 0.0537, 0.8420], [0.0000, 0.0000, 0.0000], [0.5486, 0.7046, 0.9526], [0.4092, 0.9463, 0.1580], [0.8433, 0.8931, 0.3236], [0.6357, 0.4165, 0.7567], [0.0114, 0.1891, 0.4180], [0.2604, 0.9870, 0.8926], [0.7764, 0.3302, 0.0105], [0.9408, 0.4879, 0.6768], [0.2236, 0.6698, 0.9895], [0.9886, 0.8109, 0.5820], [0.0592, 0.5121, 0.3232], [0.3504, 0.7595, 0.7172], [0.1472, 0.2875, 0.1525], [0.8528, 0.7125, 0.8475], [0.6496, 0.2405, 0.2828], [0.7396, 0.0130, 0.1074], [0.8961, 0.2622, 0.2142], [0.1039, 0.7378, 0.7858]],
  "formation_enthalpy_0k_kcal_per_mol_atoms": -30.31,
  "final_energy_ev_per_atom": -27.09
}

No. 7
{
  "formula": "Tb7FeI12",
  "functional": "meta-GGA r2SCAN",
  "state": "relaxed",
  "lattice_angstrom": [[5.7556, -7.7597, -0.0123], [5.7945, 7.7883, -0.0094], [-4.7465, -0.0100, 8.4844]],
  "species": ["Tb", "Tb", "Tb", "Tb", "Tb", "Tb", "Tb", "I", "I", "I", "I", "I", "I", "I", "I", "I", "I", "I", "I", "Fe"],
  "fractional_positions": [[0.2816, 0.0209, 0.0894], [0.5000, 0.5000, 0.5000], [0.0213, 0.0939, 0.2939], [0.9787, 0.9061, 0.7061], [0.0923, 0.2934, 0.0224], [0.9077, 0.7066, 0.9776], [0.7184, 0.9791, 0.9105], [0.8413, 0.5348, 0.6126], [0.7705, 0.3205, 0.9266], [0.6783, 0.0726, 0.2258], [0.1589, 0.4653, 0.3876], [0.6137, 0.8413, 0.5366], [0.3217, 0.9273, 0.7741], [0.9263, 0.7719, 0.3209], [0.4634, 0.3849, 0.1588], [0.3862, 0.1586, 0.4632], [0.5365, 0.6151, 0.8412], [0.0737, 0.2282, 0.6792], [0.2292, 0.6795, 0.0736], [0.0000, 0.0000, 0.0000]],
  "formation_enthalpy_0k_kcal_per_mol_atoms": -31.86,
  "final_energy_ev_per_atom": -27.77
}

No. 8
{
  "formula": "Y7FeI12",
  "functional": "meta-GGA r2SCAN",
  "state": "relaxed",
  "lattice_angstrom": [[-0.5271, 9.5871, 1.2778], [-7.4455, -2.5239, -5.6577], [-1.4823, -4.1027, 8.6440]],
  "species": ["I", "I", "I", "I", "I", "I", "I", "I", "I", "I", "I", "I", "Fe", "Y", "Y", "Y", "Y", "Y", "Y", "Y"],
  "fractional_positions": [[0.0741, 0.2289, 0.6777], [0.7711, 0.3223, 0.9259], [0.9259, 0.7711, 0.3223], [0.3223, 0.9259, 0.7711], [0.8411, 0.5353, 0.6133], [0.2289, 0.6777, 0.0741], [0.3866, 0.1589, 0.4648], [0.4648, 0.3867, 0.1590], [0.1589, 0.4647, 0.3867], [0.5352, 0.6133, 0.8410], [0.6777, 0.0741, 0.2289], [0.6134, 0.8411, 0.5352], [0.0000, 0.0000, 0.0000], [0.0915, 0.2908, 0.0212], [0.9789, 0.9087, 0.7095], [0.7092, 0.9788, 0.9086], [0.0211, 0.0913, 0.2905], [0.2908, 0.0212, 0.0914], [0.5000, 0.5000, 0.5000], [0.9085, 0.7092, 0.9788]],
  "formation_enthalpy_0k_kcal_per_mol_atoms": -31.57,
  "final_energy_ev_per_atom": -23.93
}